No. 1
LiCuPO4 (PBE-GGA, optimized geometry); E_tot = -0.22970 hartree per atom; distance to the lowest polymorph of the same formula = 0.0129 eV/atom; space-group type = Pnma, No. 62; energy with MP2020 corrections = -0.2441 Ha/atom; formation enthalpy at 0 K = -2.1840 eV per atom; total magnetization = 4.00 μB per cell; crystal system = orthorhombic
1.0
10.1022 0.0000 0.0000
0.0000 6.0376 0.0000
0.0000 0.0000 4.7417
Li Cu P O
4 4 4 16
direct
0.0000 0.0000 0.0000
0.0000 0.5000 0.0000
0.5000 0.0000 0.5000
0.5000 0.5000 0.5000
0.2181 0.2500 0.4776
0.2819 0.7500 0.9776
0.7181 0.2500 0.0224
0.7819 0.7500 0.5224
0.0962 0.7500 0.4251
0.4038 0.2500 0.9251
0.5962 0.7500 0.0749
0.9038 0.2500 0.5749
0.0474 0.2500 0.6983
0.0989 0.7500 0.7498
0.1668 0.5450 0.2876
0.1668 0.9550 0.2876
0.3332 0.0450 0.7876
0.3332 0.4550 0.7876
0.4011 0.2500 0.2498
0.4526 0.7500 0.1983
0.5474 0.2500 0.8017
0.5989 0.7500 0.7502
0.6668 0.5450 0.2124
0.6668 0.9550 0.2124
0.8332 0.0450 0.7124
0.8332 0.4550 0.7124
0.9011 0.2500 0.2502
0.9526 0.7500 0.3017

***

No. 2
TaTiWC3 (PBE-GGA, optimized geometry); E_tot = -0.38542 hartree per atom; space-group type = P3m1, No. 156; formation enthalpy at 0 K = -0.4217 eV per atom; total magnetization = 0.00 μB per cell; crystal system = trigonal
1.0
3.1124 0.0000 0.0000
-1.5562 2.6954 0.0000
0.0000 0.0000 7.6386
Ta Ti W C
1 1 1 3
direct
0.0000 0.0000 0.0000
0.6667 0.3333 0.3323
0.3333 0.6667 0.6592
0.0000 0.0000 0.4972
0.3333 0.6667 0.1672
0.6667 0.3333 0.8256

***

No. 3
Na2Nb3S6 (PBE-GGA, optimized geometry); E_tot = -0.23746 hartree per atom; space-group type = R32, No. 155; energy with MP2020 corrections = -0.2475 Ha/atom; formation enthalpy at 0 K = -1.4844 eV per atom; crystal system = trigonal
1.0
2.9416 1.6983 14.5543
-2.9416 1.6983 14.5543
0.0000 -3.3967 14.5543
Na Nb S
4 6 12
direct
0.0832 0.0832 0.0832
0.4165 0.4165 0.4165
0.5835 0.5835 0.5835
0.9168 0.9168 0.9168
0.0000 0.3335 0.6665
0.1668 0.1668 0.1668
0.3335 0.6665 0.0000
0.5000 0.5000 0.5000
0.6665 0.0000 0.3335
0.8332 0.8332 0.8332
0.0349 0.7020 0.3698
0.1299 0.7979 0.4655
0.2021 0.8701 0.5345
0.2980 0.9651 0.6302
0.3698 0.0349 0.7020
0.4655 0.1299 0.7979
0.5345 0.2021 0.8701
0.6302 0.2980 0.9651
0.7020 0.3698 0.0349
0.7979 0.4655 0.1299
0.8701 0.5345 0.2021
0.9651 0.6302 0.2980

***

No. 4
Si7PdN10 (PBE-GGA, optimized geometry); E_tot = -0.28676 hartree per atom; space-group type = Pc, No. 7; energy with MP2020 corrections = -0.2941 Ha/atom; formation enthalpy at 0 K = -0.9748 eV per atom; total magnetization = 0.00 μB per cell; crystal system = monoclinic
1.0
6.7601 0.0000 0.0000
0.0000 6.9274 0.0000
-2.3604 0.0000 9.4531
Si Pd N
14 2 20
direct
0.0000 0.0183 0.0000
0.0000 0.9817 0.5000
0.1123 0.3635 0.6633
0.1123 0.6365 0.1633
0.3037 0.3812 0.9862
0.3037 0.6188 0.4862
0.5723 0.4034 0.7501
0.5723 0.5966 0.2501
0.7552 0.3790 0.0575
0.7552 0.6210 0.5575
0.8132 0.0200 0.6979
0.8132 0.9800 0.1979
0.9415 0.3678 0.3617
0.9415 0.6322 0.8617
0.4370 0.0961 0.8651
0.4370 0.9039 0.3651
0.0086 0.1400 0.6426
0.0086 0.8600 0.1426
0.1549 0.4194 0.4980
0.1549 0.5806 0.9980
0.2058 0.1550 0.9896
0.2058 0.8450 0.4896
0.3359 0.3814 0.8028
0.3359 0.6186 0.3028
0.5331 0.4315 0.1105
0.5331 0.5685 0.6105
0.6194 0.1640 0.7217
0.6194 0.8360 0.2217
0.7438 0.4974 0.8995
0.7438 0.5026 0.3995
0.7858 0.1322 0.0470
0.7858 0.8678 0.5470
0.9086 0.1204 0.3477
0.9086 0.8796 0.8477
0.9518 0.4601 0.1974
0.9518 0.5399 0.6974

***

No. 5
Dy2CoSi2 (PBE-GGA, optimized geometry); E_tot = -0.22775 hartree per atom; space-group type = C2/m, No. 12; energy with MP2020 corrections = -0.2267 Ha/atom; formation enthalpy at 0 K = -0.7345 eV per atom; crystal system = monoclinic
1.0
5.2267 -2.0676 0.0000
5.2267 2.0676 0.0000
-4.8990 0.0000 8.7088
Dy Co Si
4 2 4
direct
0.0011 0.0011 0.1723
0.1862 0.1862 0.6053
0.8138 0.8138 0.3947
0.9989 0.9989 0.8277
0.2726 0.2726 0.1202
0.7274 0.7274 0.8798
0.3479 0.3479 0.9336
0.4957 0.4957 0.6268
0.5043 0.5043 0.3732
0.6521 0.6521 0.0664

***

No. 6
Ga5Ge3N9 (PBE-GGA, optimized geometry); E_tot = -0.22430 hartree per atom; space-group type = Cmce, No. 64; energy with MP2020 corrections = -0.2313 Ha/atom; formation enthalpy at 0 K = -0.1747 eV per atom; total magnetization = 0.02 μB per cell; crystal system = orthorhombic
1.0
4.1974 -4.8906 0.0000
4.1974 4.8906 0.0000
0.0000 0.0000 19.6368
Ga Ge N
20 12 36
direct
0.0042 0.4151 0.6286
0.0138 0.9862 0.8962
0.0710 0.9290 0.6516
0.0849 0.4958 0.8714
0.1797 0.1797 0.5000
0.3203 0.3203 0.0000
0.4151 0.0042 0.3714
0.4290 0.5710 0.1516
0.4862 0.5138 0.3962
0.4958 0.0849 0.1286
0.5042 0.9151 0.8714
0.5138 0.4862 0.6038
0.5710 0.4290 0.8484
0.5849 0.9958 0.6286
0.6797 0.6797 0.0000
0.8203 0.8203 0.5000
0.9151 0.5042 0.1286
0.9290 0.0710 0.3484
0.9862 0.0138 0.1038
0.9958 0.5849 0.3714
0.1546 0.8454 0.2396
0.1881 0.3119 0.2500
0.2159 0.7841 0.0155
0.2841 0.7159 0.5155
0.3119 0.1881 0.7500
0.3454 0.6546 0.7396
0.6546 0.3454 0.2604
0.6881 0.8119 0.2500
0.7159 0.2841 0.4845
0.7841 0.2159 0.9845
0.8119 0.6881 0.7500
0.8454 0.1546 0.7604
0.0183 0.9817 0.8025
0.0455 0.6448 0.6902
0.0594 0.2794 0.9453
0.0766 0.2213 0.6905
0.1018 0.8982 0.5477
0.1448 0.5455 0.1902
0.2113 0.7887 0.9197
0.2213 0.0766 0.3095
0.2206 0.4406 0.5547
0.2794 0.0594 0.0547
0.2787 0.4234 0.8095
0.2887 0.7113 0.4197
0.3552 0.9545 0.6902
0.3982 0.6018 0.0477
0.4234 0.2787 0.1905
0.4406 0.2206 0.4453
0.4545 0.8552 0.1902
0.4817 0.5183 0.3025
0.5183 0.4817 0.6975
0.5455 0.1448 0.8098
0.5594 0.7794 0.5547
0.5766 0.7213 0.8095
0.6018 0.3982 0.9523
0.6448 0.0455 0.3098
0.7113 0.2887 0.5803
0.7213 0.5766 0.1905
0.7206 0.9406 0.9453
0.7794 0.5594 0.4453
0.7787 0.9234 0.6905
0.7887 0.2113 0.0803
0.8552 0.4545 0.8098
0.8982 0.1018 0.4523
0.9234 0.7787 0.3095
0.9406 0.7206 0.0547
0.9545 0.3552 0.3098
0.9817 0.0183 0.1975

***

No. 7
Ba4Si23 (PBE-GGA, optimized geometry); E_tot = -0.18445 hartree per atom; space-group type = Pm-3n, No. 223; energy with MP2020 corrections = -0.1822 Ha/atom; formation enthalpy at 0 K = -0.0528 eV per atom; total magnetization = 0.00 μB per cell; crystal system = cubic
1.0
10.4043 0.0000 0.0000
0.0000 10.4043 0.0000
0.0000 0.0000 10.4043
Ba Si
8 46
direct
0.0000 0.0000 0.0000
0.0000 0.2500 0.5000
0.0000 0.7500 0.5000
0.2500 0.5000 0.0000
0.5000 0.0000 0.2500
0.5000 0.0000 0.7500
0.5000 0.5000 0.5000
0.7500 0.5000 0.0000
0.0000 0.3064 0.1207
0.0000 0.3064 0.8793
0.0000 0.5000 0.2500
0.0000 0.5000 0.7500
0.0000 0.6936 0.1207
0.0000 0.6936 0.8793
0.1207 0.0000 0.3064
0.1207 0.0000 0.6936
0.1851 0.1851 0.1851
0.1851 0.1851 0.8149
0.1851 0.8149 0.1851
0.1851 0.8149 0.8149
0.1936 0.5000 0.3793
0.1936 0.5000 0.6207
0.2500 0.0000 0.5000
0.3064 0.1207 0.0000
0.3064 0.8793 0.0000
0.3149 0.3149 0.3149
0.3149 0.3149 0.6851
0.3149 0.6851 0.3149
0.3149 0.6851 0.6851
0.3793 0.1936 0.5000
0.3793 0.8064 0.5000
0.5000 0.2500 0.0000
0.5000 0.3793 0.1936
0.5000 0.3793 0.8064
0.5000 0.6207 0.1936
0.5000 0.6207 0.8064
0.5000 0.7500 0.0000
0.6207 0.1936 0.5000
0.6207 0.8064 0.5000
0.6851 0.3149 0.3149
0.6851 0.3149 0.6851
0.6851 0.6851 0.3149
0.6851 0.6851 0.6851
0.6936 0.1207 0.0000
0.6936 0.8793 0.0000
0.7500 0.0000 0.5000
0.8064 0.5000 0.3793
0.8064 0.5000 0.6207
0.8149 0.1851 0.1851
0.8149 0.1851 0.8149
0.8149 0.8149 0.1851
0.8149 0.8149 0.8149
0.8793 0.0000 0.3064
0.8793 0.0000 0.6936

***

No. 8
Sr2Al2SiO7 (PBE-GGA, optimized geometry); E_tot = -0.26886 hartree per atom; space-group type = P2_1, No. 4; energy with MP2020 corrections = -0.2836 Ha/atom; formation enthalpy at 0 K = -3.4726 eV per atom; total magnetization = 0.00 μB per cell; crystal system = monoclinic
1.0
5.3279 0.0000 0.0000
0.0000 7.9126 0.0000
-0.0090 0.0000 7.9272
Sr Al Si O
4 4 2 14
direct
0.0098 0.0000 0.0978
0.0131 0.6754 0.4217
0.9869 0.1754 0.5783
0.9902 0.5000 0.9022
0.4662 0.4774 0.6078
0.4999 0.3352 0.2500
0.5001 0.8352 0.7500
0.5338 0.9774 0.3922
0.4600 0.1937 0.8920
0.5400 0.6937 0.1080
0.2094 0.9764 0.3873
0.2366 0.6934 0.1044
0.3119 0.6678 0.6733
0.3149 0.4180 0.4150
0.3257 0.2491 0.0739
0.3287 0.0092 0.8415
0.3378 0.3280 0.7545
0.6622 0.8280 0.2455
0.6713 0.5092 0.1585
0.6743 0.7491 0.9261
0.6851 0.9180 0.5850
0.6881 0.1678 0.3267
0.7634 0.1934 0.8956
0.7906 0.4764 0.6127

***

No. 9
Fe3Si (PBE-GGA, optimized geometry); E_tot = -0.29153 hartree per atom; space-group type = P4/mmm, No. 123; energy with MP2020 corrections = -0.2909 Ha/atom; formation enthalpy at 0 K = -0.2065 eV per atom; total magnetization = 5.04 μB per cell; crystal system = tetragonal
1.0
2.8356 0.0000 0.0000
0.0000 2.8356 0.0000
0.0000 0.0000 5.5070
Fe Si
3 1
direct
0.0000 0.0000 0.0000
0.5000 0.5000 0.2578
0.5000 0.5000 0.7422
0.0000 0.0000 0.5000

***

No. 10
EuTiNbBi2O9 (PBE-GGA, optimized geometry); E_tot = -0.29509 hartree per atom; space-group type = P2_1, No. 4; energy with MP2020 corrections = -0.3113 Ha/atom; formation enthalpy at 0 K = -2.7168 eV per atom; total magnetization = 12.00 μB per cell; crystal system = monoclinic
1.0
5.4659 0.0000 0.0000
0.0000 5.4876 0.0000
-2.6351 0.0000 12.6811
Eu Ti Nb Bi O
2 2 2 4 18
direct
0.2474 0.0000 0.9998
0.7526 0.5000 0.0002
0.3334 0.5284 0.1739
0.6666 0.0284 0.8261
0.1701 0.5318 0.8271
0.8299 0.0318 0.1729
0.0210 0.0130 0.6022
0.4276 0.0103 0.3987
0.5724 0.5103 0.6013
0.9790 0.5130 0.3978
0.0251 0.5395 0.6815
0.0280 0.7605 0.1290
0.1031 0.2632 0.1292
0.2459 0.7704 0.5022
0.2578 0.2714 0.5019
0.3139 0.5605 0.9987
0.3350 0.5407 0.3134
0.3656 0.8521 0.8306
0.4714 0.3463 0.8301
0.5286 0.8463 0.1699
0.6344 0.3521 0.1694
0.6650 0.0407 0.6866
0.6861 0.0605 0.0013
0.7422 0.7714 0.4981
0.7541 0.2704 0.4978
0.8969 0.7632 0.8708
0.9720 0.2605 0.8710
0.9749 0.0395 0.3185

***

No. 11
Sb2BrF17 (PBE-GGA, optimized geometry); E_tot = -0.13681 hartree per atom; space-group type = P2_1/c, No. 14; energy with MP2020 corrections = -0.1512 Ha/atom; formation enthalpy at 0 K = -1.9933 eV per atom; total magnetization = 0.05 μB per cell; crystal system = monoclinic
1.0
12.1543 0.0000 0.0000
0.0000 8.6578 0.0000
-10.5400 0.0000 12.2158
Sb Br F
8 4 68
direct
0.0332 0.0221 0.3434
0.0332 0.4779 0.8434
0.4167 0.0022 0.6432
0.4167 0.4978 0.1432
0.5833 0.5022 0.8568
0.5833 0.9978 0.3568
0.9668 0.5221 0.1566
0.9668 0.9779 0.6566
0.0000 0.0000 0.0000
0.0000 0.5000 0.5000
0.5000 0.0000 0.0000
0.5000 0.5000 0.5000
0.0473 0.1653 0.6552
0.0473 0.3347 0.1552
0.0662 0.6304 0.1205
0.0662 0.8696 0.6205
0.0685 0.5285 0.6340
0.0685 0.9715 0.1340
0.1134 0.5506 0.3097
0.1134 0.9494 0.8097
0.1265 0.1483 0.0467
0.1265 0.3517 0.5467
0.1260 0.6327 0.5229
0.1260 0.8673 0.0229
0.1342 0.2071 0.3669
0.1342 0.2929 0.8669
0.1569 0.5898 0.8302
0.1569 0.9102 0.3302
0.1941 0.5160 0.0107
0.1941 0.9840 0.5107
0.3676 0.2067 0.6546
0.3676 0.2933 0.1546
0.3728 0.5731 0.2289
0.3728 0.9269 0.7289
0.3778 0.1173 0.8864
0.3778 0.3827 0.3864
0.3820 0.5190 0.7345
0.3820 0.9810 0.2345
0.3951 0.0213 0.0377
0.3951 0.4787 0.5377
0.3994 0.6625 0.4231
0.3994 0.8375 0.9231
0.4226 0.7032 0.1050
0.4226 0.7968 0.6050
0.4351 0.0802 0.5428
0.4351 0.4198 0.0428
0.5649 0.5802 0.9572
0.5649 0.9198 0.4572
0.5774 0.2032 0.3950
0.5774 0.2968 0.8950
0.6006 0.1625 0.0769
0.6006 0.3375 0.5769
0.6049 0.5213 0.4623
0.6049 0.9787 0.9623
0.6180 0.0190 0.7655
0.6180 0.4810 0.2655
0.6222 0.6173 0.6136
0.6222 0.8827 0.1136
0.6272 0.0731 0.2711
0.6272 0.4269 0.7711
0.6324 0.7067 0.8454
0.6324 0.7933 0.3454
0.8059 0.0160 0.4893
0.8059 0.4840 0.9893
0.8431 0.0898 0.6698
0.8431 0.4102 0.1698
0.8658 0.7071 0.1331
0.8658 0.7929 0.6331
0.8740 0.1327 0.9771
0.8740 0.3673 0.4771
0.8735 0.6483 0.4533
0.8735 0.8517 0.9533
0.8866 0.0506 0.1903
0.8866 0.4494 0.6903
0.9315 0.0285 0.8660
0.9315 0.4715 0.3660
0.9338 0.1304 0.3795
0.9338 0.3696 0.8795
0.9527 0.6653 0.8448
0.9527 0.8347 0.3448

***

Repeat the second record exactly.
TaTiWC3 (PBE-GGA, optimized geometry); E_tot = -0.38542 hartree per atom; space-group type = P3m1, No. 156; formation enthalpy at 0 K = -0.4217 eV per atom; total magnetization = 0.00 μB per cell; crystal system = trigonal
1.0
3.1124 0.0000 0.0000
-1.5562 2.6954 0.0000
0.0000 0.0000 7.6386
Ta Ti W C
1 1 1 3
direct
0.0000 0.0000 0.0000
0.6667 0.3333 0.3323
0.3333 0.6667 0.6592
0.0000 0.0000 0.4972
0.3333 0.6667 0.1672
0.6667 0.3333 0.8256